This record from the Materials Project database describes an optimized crystal structure of Al8Zn3CoO16. The functional is GGA+U.

The calculation puts the energy of formation from the pure elements at -2.983 eV/atom. As for the magnetization: 0.00 μB per formula unit.

Cell lengths 8.179, 17.351, 8.179 Å; angles 76.37, 90.00, 76.37 degrees
Atoms (fractional coordinates):
Al  0.437  0.125  0.687
Al  0.562  0.875  0.312
Al  0.812  0.375  0.562
Al  0.750  0.000  0.750
Al  0.625  0.750  0.625
Al  0.937  0.125  0.187
Al  0.813  0.875  0.563
Al  0.125  0.750  0.125
Al  0.500  0.500  0.500
Al  0.312  0.375  0.062
Al  0.687  0.625  0.937
Al  0.062  0.875  0.812
Al  0.375  0.750  0.875
Al  0.875  0.750  0.375
Al  0.438  0.625  0.688
Al  0.688  0.125  0.938
Al  0.063  0.375  0.813
Al  0.250  0.000  0.250
Al  0.750  0.500  0.250
Al  0.938  0.625  0.188
Al  0.313  0.875  0.063
Al  0.188  0.125  0.438
Al  0.000  0.500  0.000
Al  0.125  0.250  0.625
Al  0.563  0.375  0.313
Al  0.250  0.500  0.750
Al  0.000  0.000  0.500
Al  0.875  0.250  0.875
Al  0.625  0.250  0.125
Al  0.187  0.625  0.437
Al  0.500  0.000  0.000
Al  0.375  0.250  0.375
O  0.331  0.368  0.302
O  0.198  0.132  0.669
O  0.927  0.618  0.956
O  0.982  0.507  0.232
O  0.919  0.132  0.948
O  0.823  0.882  0.795
O  0.677  0.118  0.706
O  0.489  0.993  0.239
O  0.669  0.632  0.698
O  0.448  0.632  0.919
O  0.045  0.882  0.573
O  0.795  0.382  0.323
O  0.739  0.493  0.489
O  0.573  0.382  0.545
O  0.893  0.743  0.143
O  0.302  0.868  0.831
O  0.011  0.007  0.261
O  0.427  0.618  0.456
O  0.268  0.993  0.018
O  0.206  0.618  0.677
O  0.232  0.007  0.482
O  0.081  0.868  0.052
O  0.052  0.368  0.581
O  0.357  0.757  0.107
O  0.386  0.257  0.136
O  0.323  0.882  0.295
O  0.614  0.743  0.864
O  0.989  0.993  0.739
O  0.698  0.132  0.169
O  0.857  0.757  0.607
O  0.169  0.632  0.198
O  0.761  0.507  0.011
O  0.552  0.368  0.081
O  0.581  0.868  0.552
O  0.364  0.243  0.614
O  0.295  0.382  0.823
O  0.136  0.757  0.886
O  0.419  0.132  0.448
O  0.545  0.882  0.073
O  0.261  0.507  0.511
O  0.018  0.493  0.768
O  0.239  0.493  0.989
O  0.511  0.007  0.761
O  0.114  0.743  0.364
O  0.393  0.743  0.643
O  0.482  0.507  0.732
O  0.831  0.368  0.802
O  0.456  0.118  0.927
O  0.177  0.118  0.206
O  0.073  0.382  0.045
O  0.143  0.243  0.393
O  0.948  0.632  0.419
O  0.643  0.243  0.893
O  0.768  0.993  0.518
O  0.864  0.243  0.114
O  0.802  0.868  0.331
O  0.706  0.618  0.177
O  0.518  0.493  0.268
O  0.607  0.257  0.357
O  0.732  0.007  0.982
O  0.636  0.757  0.386
O  0.956  0.118  0.427
O  0.107  0.257  0.857
O  0.886  0.257  0.636
Zn  0.719  0.812  0.969
Zn  0.406  0.937  0.656
Zn  0.281  0.188  0.031
Zn  0.031  0.688  0.781
Zn  0.656  0.437  0.906
Zn  0.469  0.312  0.719
Zn  0.531  0.688  0.281
Zn  0.781  0.188  0.531
Zn  0.906  0.937  0.156
Zn  0.156  0.437  0.406
Zn  0.969  0.312  0.219
Zn  0.219  0.812  0.469
Co  0.344  0.562  0.094
Co  0.844  0.562  0.594
Co  0.094  0.062  0.844
Co  0.594  0.062  0.344

This record from the Materials Project database describes an optimized crystal structure of Sr2AlCrCu2O7. The functional is GGA+U.

The calculation puts the energy of formation from the pure elements at -2.261 eV/atom. The space group is Cm, No. 8. As for the magnetization: 2.92 μB per formula unit.

Cell lengths 12.104, 12.104, 5.384 Å; angles 77.30, 77.30, 143.14 degrees
Atoms (fractional coordinates):
Cu  0.061  0.447  0.483
Cu  0.555  0.944  0.488
Cu  0.944  0.555  0.488
Cu  0.447  0.061  0.483
O  0.731  0.124  0.631
O  0.131  0.283  0.515
O  0.384  0.773  0.333
O  0.269  0.877  0.984
O  0.637  0.637  0.982
O  0.619  0.232  0.985
O  0.867  0.726  0.413
O  0.283  0.131  0.515
O  0.877  0.269  0.984
O  0.124  0.731  0.631
O  0.726  0.867  0.413
O  0.232  0.619  0.985
O  0.773  0.384  0.333
O  0.365  0.365  0.788
Cr  0.310  0.310  0.467
Cr  0.677  0.677  0.603
Al  0.002  0.503  0.987
Al  0.503  0.002  0.987
Sr  0.872  0.661  0.973
Sr  0.129  0.338  0.008
Sr  0.661  0.872  0.973
Sr  0.338  0.129  0.008

This record from the Materials Project database describes an optimized crystal structure of AlCrFeO4. The functional is GGA+U.

The calculation puts the energy of formation from the pure elements at -2.543 eV/atom. The space group is Imma, No. 74. As for the magnetization: 1.00 μB per formula unit.

Cell lengths 5.872, 5.928, 5.928 Å; angles 89.33, 119.73, 119.73 degrees
Atoms (fractional coordinates):
O  0.728  0.146  0.855
O  0.787  0.169  0.405
O  0.772  0.604  0.395
O  0.228  0.605  0.396
O  0.287  0.155  0.419
O  0.213  0.595  0.831
O  0.713  0.581  0.845
O  0.272  0.145  0.854
Cr  0.250  0.875  0.625
Cr  0.750  0.375  0.125
Al  0.750  0.375  0.625
Al  0.250  0.375  0.625
Fe  0.000  0.992  0.008
Fe  0.500  0.758  0.242

Q: Which of these has the lowest magnetization?
A: Al8Zn3CoO16

Q: Which of these has the lowest energy of formation from the pure elements?
A: Al8Zn3CoO16

Q: Which value of magnetization does entry 2 give?
A: 2.92 μB per formula unit

Q: Among the records above, which one has the lowest energy of formation from the pure elements?
A: Al8Zn3CoO16